No. 1
A geometry-optimized BAu3 structure. Source: the Materials Project database, functional PBE-GGA.

Values from the calculation:
The crystal system is cubic. The formation enthalpy at 0 K comes out at 876.9 meV/atom. For the total energy, the calculation gives -12.993 eV for the cell shown. The total magnetization comes out at 0.000 μB per formula unit.

Cell lengths 4.519, 4.519, 4.519 Å; angles 60.00, 60.00, 60.00 degrees
Sites, in units of the cell vectors:
1 B 0.000 0.000 0.000
2 Au 0.250 0.250 0.250
3 Au 0.750 0.750 0.750
4 Au 0.500 0.500 0.500

No. 2
A geometry-optimized BH11AuC4IN2 structure. Source: the Materials Project database, functional PBE-GGA.

Values from the calculation:
The crystal system is triclinic. The formation enthalpy at 0 K comes out at -179.7 meV/atom. For the total energy, the calculation gives -210.514 eV for the cell shown. The total magnetization comes out at 0.000 μB per formula unit.

Cell lengths 6.233, 9.425, 9.928 Å; angles 116.51, 90.97, 101.96 degrees
Sites, in units of the cell vectors:
1 B 0.595 0.566 0.756
2 B 0.405 0.434 0.244
3 H 0.258 0.836 0.913
4 H 0.742 0.164 0.087
5 H 0.538 0.847 0.972
6 H 0.462 0.153 0.028
7 H 0.469 0.841 0.793
8 H 0.531 0.159 0.207
9 H 0.047 0.592 0.697
10 H 0.953 0.408 0.303
11 H 0.269 0.589 0.583
12 H 0.731 0.411 0.417
13 H 0.156 0.414 0.611
14 H 0.844 0.586 0.389
15 H 0.241 0.425 0.861
16 H 0.759 0.575 0.139
17 H 0.385 0.617 0.015
18 H 0.615 0.383 0.985
19 H 0.111 0.593 0.937
20 H 0.889 0.407 0.063
21 H 0.720 0.622 0.872
22 H 0.280 0.378 0.128
23 H 0.663 0.621 0.670
24 H 0.337 0.379 0.330
25 Au 0.000 0.000 0.500
26 Au 0.500 0.000 0.500
27 C 0.539 0.241 0.610
28 C 0.461 0.759 0.390
29 C 0.410 0.798 0.875
30 C 0.590 0.202 0.125
31 C 0.197 0.548 0.663
32 C 0.803 0.452 0.337
33 C 0.268 0.558 0.911
34 C 0.732 0.442 0.089
35 I 0.013 0.047 0.779
36 I 0.987 0.953 0.221
37 N 0.363 0.615 0.801
38 N 0.637 0.385 0.199
39 N 0.557 0.382 0.675
40 N 0.443 0.618 0.325

No. 3
A geometry-optimized BaAu2 structure. Source: the Materials Project database, functional PBE-GGA.

Values from the calculation:
The crystal system is hexagonal. The formation enthalpy at 0 K comes out at -740.5 meV/atom. For the total energy, the calculation gives -10.688 eV for the cell shown.

Cell lengths 4.245, 4.906, 4.906 Å; angles 120.00, 90.00, 90.00 degrees
Sites, in units of the cell vectors:
1 Ba 0.000 0.000 0.000
2 Au 0.500 0.667 0.333
3 Au 0.500 0.333 0.667

No. 4
A geometry-optimized BaAu structure. Source: the Materials Project database, functional PBE-GGA.

Values from the calculation:
The crystal system is orthorhombic. The formation enthalpy at 0 K comes out at -722.7 meV/atom. For the total energy, the calculation gives -26.553 eV for the cell shown.

Cell lengths 5.036, 6.521, 8.478 Å; angles 90.00, 90.00, 90.00 degrees
Sites, in units of the cell vectors:
1 Ba 0.250 0.862 0.683
2 Ba 0.250 0.638 0.183
3 Ba 0.750 0.138 0.317
4 Ba 0.750 0.362 0.817
5 Au 0.250 0.366 0.538
6 Au 0.750 0.866 0.962
7 Au 0.250 0.134 0.038
8 Au 0.750 0.634 0.462

No. 5
A geometry-optimized BaAu5 structure. Source: the Materials Project database, functional PBE-GGA.

Values from the calculation:
The crystal system is hexagonal. The formation enthalpy at 0 K comes out at -443.0 meV/atom. For the total energy, the calculation gives -20.946 eV for the cell shown.

Cell lengths 4.538, 5.948, 5.948 Å; angles 60.00, 90.00, 90.00 degrees
Sites, in units of the cell vectors:
1 Ba 0.000 0.000 0.000
2 Au 0.000 0.333 0.333
3 Au 0.500 0.500 0.500
4 Au 0.500 0.000 0.500
5 Au 0.500 0.500 0.000
6 Au 0.000 0.667 0.667

No. 6
A geometry-optimized BaBiAu structure. Source: the Materials Project database, functional PBE-GGA.

Values from the calculation:
The crystal system is hexagonal. The formation enthalpy at 0 K comes out at -277.8 meV/atom. For the total energy, the calculation gives -19.832 eV for the cell shown. The total magnetization comes out at 0.000 μB per formula unit.

Cell lengths 5.750, 5.750, 7.000 Å; angles 90.00, 90.00, 120.00 degrees
Sites, in units of the cell vectors:
1 Ba 0.667 0.333 0.750
2 Ba 0.333 0.667 0.250
3 Bi 0.333 0.667 0.750
4 Bi 0.667 0.333 0.250
5 Au 0.000 0.000 0.000
6 Au 0.000 0.000 0.500

No. 7
A geometry-optimized KBa4AuC4O4 structure. Source: the Materials Project database, functional PBE-GGA.

Values from the calculation:
The crystal system is tetragonal. The formation enthalpy at 0 K comes out at -1059.1 meV/atom. For the total energy, the calculation gives -80.845 eV for the cell shown. The total magnetization comes out at 0.001 μB per formula unit.

Cell lengths 8.910, 8.910, 8.910 Å; angles 139.54, 139.54, 58.55 degrees
Sites, in units of the cell vectors:
1 K 0.500 0.500 0.000
2 Ba 0.118 0.618 0.500
3 Ba 0.882 0.382 0.500
4 Ba 0.618 0.118 0.500
5 Ba 0.382 0.882 0.500
6 Au 0.000 0.000 0.000
7 C 0.309 0.309 0.000
8 C 0.691 0.691 0.000
9 C 0.227 0.227 0.000
10 C 0.773 0.773 0.000
11 O 0.770 0.770 0.541
12 O 0.230 0.770 0.000
13 O 0.770 0.230 0.000
14 O 0.230 0.230 0.459

No. 8
A geometry-optimized Ba2AuC2O2 structure. Source: the Materials Project database, functional PBE-GGA.

Values from the calculation:
The crystal system is tetragonal. The formation enthalpy at 0 K comes out at -871.6 meV/atom. For the total energy, the calculation gives -80.385 eV for the cell shown. The total magnetization comes out at 0.000 μB per formula unit.

Cell lengths 8.961, 8.961, 8.961 Å; angles 140.91, 140.91, 56.48 degrees
Sites, in units of the cell vectors:
1 Ba 0.120 0.620 0.500
2 Ba 0.880 0.380 0.500
3 Ba 0.620 0.120 0.500
4 Ba 0.380 0.880 0.500
5 Au 0.500 0.500 0.000
6 Au 0.000 0.000 0.000
7 C 0.295 0.295 0.000
8 C 0.705 0.705 0.000
9 C 0.214 0.214 0.000
10 C 0.786 0.786 0.000
11 O 0.750 0.750 0.501
12 O 0.250 0.750 0.000
13 O 0.750 0.250 0.000
14 O 0.250 0.250 0.499

No. 9
A geometry-optimized BaAu2F12 structure. Source: the Materials Project database, functional PBE-GGA.

Values from the calculation:
The crystal system is cubic. The formation enthalpy at 0 K comes out at -1786.9 meV/atom. For the total energy, the calculation gives -210.802 eV for the cell shown.

Cell lengths 10.612, 10.612, 10.612 Å; angles 90.00, 90.00, 90.00 degrees
Sites, in units of the cell vectors:
1 Ba 0.500 0.000 0.000
2 Ba 0.000 0.000 0.000
3 Ba 0.000 0.500 0.000
4 Ba 0.000 0.000 0.500
5 Au 0.253 0.747 0.747
6 Au 0.747 0.747 0.253
7 Au 0.253 0.747 0.253
8 Au 0.747 0.747 0.747
9 Au 0.747 0.253 0.747
10 Au 0.747 0.253 0.253
11 Au 0.253 0.253 0.747
12 Au 0.253 0.253 0.253
13 F 0.123 0.877 0.306
14 F 0.368 0.185 0.632
15 F 0.123 0.694 0.877
16 F 0.632 0.185 0.632
17 F 0.877 0.123 0.306
18 F 0.877 0.123 0.694
19 F 0.185 0.632 0.368
20 F 0.368 0.632 0.185
21 F 0.877 0.694 0.877
22 F 0.694 0.877 0.123
23 F 0.877 0.306 0.123
24 F 0.368 0.632 0.815
25 F 0.815 0.368 0.368
26 F 0.632 0.632 0.185
27 F 0.123 0.877 0.694
28 F 0.306 0.123 0.123
29 F 0.123 0.123 0.694
30 F 0.306 0.877 0.877
31 F 0.694 0.877 0.877
32 F 0.632 0.815 0.368
33 F 0.694 0.123 0.877
34 F 0.368 0.368 0.815
35 F 0.632 0.185 0.368
36 F 0.185 0.368 0.368
37 F 0.632 0.815 0.632
38 F 0.368 0.815 0.632
39 F 0.877 0.694 0.123
40 F 0.123 0.306 0.877
41 F 0.815 0.632 0.368
42 F 0.306 0.877 0.123
43 F 0.123 0.123 0.306
44 F 0.877 0.877 0.694
45 F 0.306 0.123 0.877
46 F 0.368 0.185 0.368
47 F 0.185 0.368 0.632
48 F 0.632 0.368 0.815
49 F 0.877 0.306 0.877
50 F 0.368 0.368 0.185
51 F 0.815 0.632 0.632
52 F 0.185 0.632 0.632
53 F 0.632 0.632 0.815
54 F 0.877 0.877 0.306
55 F 0.815 0.368 0.632
56 F 0.368 0.815 0.368
57 F 0.123 0.306 0.123
58 F 0.632 0.368 0.185
59 F 0.694 0.123 0.123
60 F 0.123 0.694 0.123

No. 10
A geometry-optimized BaGe2Au5 structure. Source: the Materials Project database, functional PBE-GGA.

Values from the calculation:
The crystal system is orthorhombic. The formation enthalpy at 0 K comes out at -353.8 meV/atom. For the total energy, the calculation gives -121.459 eV for the cell shown.

Cell lengths 7.267, 9.211, 10.502 Å; angles 90.00, 90.00, 90.00 degrees
Sites, in units of the cell vectors:
1 Ba 0.250 0.247 0.121
2 Ba 0.250 0.747 0.379
3 Ba 0.750 0.753 0.879
4 Ba 0.750 0.253 0.621
5 Ge 0.250 0.049 0.619
6 Ge 0.250 0.549 0.881
7 Ge 0.750 0.951 0.381
8 Ge 0.750 0.451 0.119
9 Ge 0.250 0.346 0.464
10 Ge 0.250 0.846 0.036
11 Ge 0.750 0.654 0.536
12 Ge 0.750 0.154 0.964
13 Au 0.053 0.100 0.390
14 Au 0.447 0.600 0.110
15 Au 0.553 0.900 0.610
16 Au 0.947 0.400 0.890
17 Au 0.947 0.900 0.610
18 Au 0.553 0.400 0.890
19 Au 0.447 0.100 0.390
20 Au 0.053 0.600 0.110
21 Au 0.043 0.073 0.854
22 Au 0.457 0.573 0.646
23 Au 0.543 0.927 0.146
24 Au 0.957 0.427 0.354
25 Au 0.957 0.927 0.146
26 Au 0.543 0.427 0.354
27 Au 0.457 0.073 0.854
28 Au 0.043 0.573 0.646
29 Au 0.250 0.309 0.710
30 Au 0.250 0.809 0.790
31 Au 0.750 0.691 0.290
32 Au 0.750 0.191 0.210

No. 11
A geometry-optimized BaGeAu3 structure. Source: the Materials Project database, functional PBE-GGA.

Values from the calculation:
The crystal system is tetragonal. The formation enthalpy at 0 K comes out at -512.0 meV/atom. For the total energy, the calculation gives -18.923 eV for the cell shown.

Cell lengths 6.224, 6.224, 6.224 Å; angles 134.26, 134.26, 66.68 degrees
Sites, in units of the cell vectors:
1 Ba 0.005 0.005 0.000
2 Ge 0.360 0.360 0.000
3 Au 0.763 0.263 0.500
4 Au 0.263 0.763 0.500
5 Au 0.609 0.609 0.000

No. 12
A geometry-optimized BaGe2Au2 structure. Source: the Materials Project database, functional PBE-GGA.

Values from the calculation:
The crystal system is tetragonal. The formation enthalpy at 0 K comes out at -490.1 meV/atom. For the total energy, the calculation gives -20.163 eV for the cell shown.

Cell lengths 6.294, 6.294, 6.294 Å; angles 135.85, 135.85, 64.21 degrees
Sites, in units of the cell vectors:
1 Ba 0.000 0.000 0.000
2 Ge 0.624 0.624 0.000
3 Ge 0.376 0.376 0.000
4 Au 0.750 0.250 0.500
5 Au 0.250 0.750 0.500

No. 13
A geometry-optimized BaIn2Au2 structure. Source: the Materials Project database, functional PBE-GGA.

Values from the calculation:
The crystal system is orthorhombic. The formation enthalpy at 0 K comes out at -549.5 meV/atom. For the total energy, the calculation gives -66.869 eV for the cell shown.

Cell lengths 4.841, 8.943, 12.602 Å; angles 90.00, 90.00, 90.00 degrees
Sites, in units of the cell vectors:
1 Ba 0.750 0.720 0.334
2 Ba 0.250 0.780 0.834
3 Ba 0.250 0.280 0.666
4 Ba 0.750 0.220 0.166
5 In 0.250 0.359 0.358
6 In 0.250 0.859 0.142
7 In 0.750 0.602 0.049
8 In 0.750 0.641 0.642
9 In 0.750 0.141 0.858
10 In 0.250 0.898 0.549
11 In 0.750 0.102 0.451
12 In 0.250 0.398 0.951
13 Au 0.250 0.090 0.979
14 Au 0.750 0.474 0.836
15 Au 0.750 0.974 0.664
16 Au 0.250 0.526 0.164
17 Au 0.250 0.026 0.336
18 Au 0.750 0.910 0.021
19 Au 0.250 0.590 0.521
20 Au 0.750 0.410 0.479

No. 14
A geometry-optimized Ba4NaAuO8 structure. Source: the Materials Project database, functional PBE-GGA.

Values from the calculation:
The crystal system is tetragonal. The formation enthalpy at 0 K comes out at -1905.0 meV/atom. For the total energy, the calculation gives -74.806 eV for the cell shown. The total magnetization comes out at 0.001 μB per formula unit.

Cell lengths 8.483, 8.483, 8.483 Å; angles 139.72, 139.72, 58.28 degrees
Sites, in units of the cell vectors:
1 Ba 0.874 0.374 0.500
2 Ba 0.374 0.874 0.500
3 Ba 0.626 0.126 0.500
4 Ba 0.126 0.626 0.500
5 Na 0.500 0.500 0.000
6 Au 0.000 0.000 0.000
7 O 0.223 0.223 0.000
8 O 0.327 0.327 0.000
9 O 0.673 0.673 0.000
10 O 0.759 0.759 0.518
11 O 0.777 0.777 0.000
12 O 0.241 0.241 0.482
13 O 0.759 0.241 0.000
14 O 0.241 0.759 0.000